1.
VASP calculation (PBE with a Hubbard U) on a relaxed structure of Zr2MoP2O12.

Properties
The symmetry is Pbcn. As for the uncorrected energy: -0.298 hartree per atom. The value obtained for the formation energy is -3.00 eV per atom. The volume is 1117.7 Å³ per cell.

Unit cell a=9.347 b=9.498 c=12.591 alpha=90.00 beta=90.00 gamma=90.00
Fractional coordinates of all 68 atoms:
O (0.074, 0.658, 0.092)
O (0.358, 0.739, 0.172)
O (0.328, 0.923, 0.030)
O (0.150, 0.371, 0.071)
O (0.672, 0.077, 0.970)
O (0.172, 0.077, 0.530)
O (0.850, 0.629, 0.929)
O (0.426, 0.342, 0.592)
O (0.543, 0.930, 0.151)
O (0.650, 0.129, 0.571)
O (0.328, 0.577, 0.970)
O (0.672, 0.423, 0.030)
O (0.043, 0.570, 0.651)
O (0.701, 0.009, 0.779)
O (0.142, 0.261, 0.672)
O (0.350, 0.871, 0.429)
O (0.201, 0.491, 0.279)
O (0.850, 0.871, 0.071)
O (0.799, 0.509, 0.721)
O (0.642, 0.261, 0.828)
O (0.642, 0.239, 0.172)
O (0.701, 0.491, 0.221)
O (0.358, 0.761, 0.828)
O (0.957, 0.070, 0.651)
O (0.299, 0.991, 0.221)
O (0.650, 0.371, 0.429)
O (0.074, 0.842, 0.908)
O (0.201, 0.009, 0.721)
O (0.574, 0.658, 0.408)
O (0.457, 0.070, 0.849)
O (0.543, 0.570, 0.849)
O (0.957, 0.430, 0.349)
O (0.926, 0.342, 0.908)
O (0.574, 0.842, 0.592)
O (0.828, 0.577, 0.530)
O (0.799, 0.991, 0.279)
O (0.457, 0.430, 0.151)
O (0.426, 0.158, 0.408)
O (0.150, 0.129, 0.929)
O (0.858, 0.761, 0.672)
O (0.043, 0.930, 0.349)
O (0.828, 0.923, 0.470)
O (0.299, 0.509, 0.779)
O (0.142, 0.239, 0.328)
O (0.172, 0.423, 0.470)
O (0.350, 0.629, 0.571)
O (0.926, 0.158, 0.092)
O (0.858, 0.739, 0.328)
Zr (0.225, 0.046, 0.371)
Zr (0.725, 0.046, 0.129)
Zr (0.775, 0.954, 0.629)
Zr (0.275, 0.546, 0.129)
Zr (0.725, 0.454, 0.871)
Zr (0.225, 0.454, 0.629)
Zr (0.275, 0.954, 0.871)
Zr (0.775, 0.546, 0.371)
P (0.382, 0.896, 0.143)
P (0.618, 0.104, 0.857)
P (0.118, 0.104, 0.643)
P (0.118, 0.396, 0.357)
P (0.882, 0.896, 0.357)
P (0.882, 0.604, 0.643)
P (0.618, 0.396, 0.143)
P (0.382, 0.604, 0.857)
Mo (0.462, 0.750, 0.500)
Mo (0.962, 0.750, 0.000)
Mo (0.038, 0.250, 0.000)
Mo (0.538, 0.250, 0.500)


2.
VASP calculation (PBE with a Hubbard U) on a relaxed structure of MoPbO4.

Properties
The symmetry is I4_1/a. As for the uncorrected energy: -0.245 hartree per atom. The value obtained for the formation energy is -1.93 eV per atom. The volume is 188.3 Å³ per cell.

Unit cell a=7.302 b=7.302 c=7.302 alpha=135.55 beta=135.55 gamma=64.68
Fractional coordinates of all 12 atoms:
O (0.567, 0.966, 0.872)
O (0.183, 0.284, 0.628)
O (0.034, 0.906, 0.601)
O (0.445, 0.817, 0.101)
O (0.716, 0.344, 0.899)
O (0.656, 0.555, 0.372)
O (0.094, 0.695, 0.128)
O (0.305, 0.433, 0.399)
Mo (0.250, 0.750, 0.500)
Mo (0.500, 0.500, 0.000)
Pb (0.000, 0.000, 0.000)
Pb (0.750, 0.250, 0.500)


3.
VASP calculation (PBE with a Hubbard U) on a relaxed structure of Mo5PbO8.

Properties
The symmetry is P2_1/c. As for the uncorrected energy: -0.255 hartree per atom. The value obtained for the formation energy is -1.51 eV per atom. The volume is 852.8 Å³ per cell.

Unit cell a=9.920 b=8.479 c=10.744 alpha=70.68 beta=90.00 gamma=90.00
Fractional coordinates of all 56 atoms:
O (0.254, 0.210, 0.280)
O (0.500, 0.989, 0.222)
O (0.764, 0.383, 0.828)
O (0.000, 0.989, 0.722)
O (0.498, 0.416, 0.135)
O (0.502, 0.584, 0.865)
O (0.242, 0.809, 0.885)
O (0.280, 0.007, 0.073)
O (0.009, 0.595, 0.852)
O (0.264, 0.398, 0.980)
O (0.258, 0.809, 0.385)
O (0.236, 0.617, 0.172)
O (0.736, 0.383, 0.328)
O (0.754, 0.790, 0.220)
O (0.500, 0.011, 0.778)
O (0.236, 0.398, 0.480)
O (0.246, 0.210, 0.780)
O (0.264, 0.617, 0.672)
O (0.764, 0.602, 0.520)
O (0.758, 0.191, 0.115)
O (0.491, 0.595, 0.352)
O (0.991, 0.405, 0.148)
O (0.720, 0.993, 0.927)
O (0.509, 0.405, 0.648)
O (0.780, 0.993, 0.427)
O (0.002, 0.416, 0.635)
O (0.220, 0.007, 0.573)
O (0.998, 0.584, 0.365)
O (0.742, 0.191, 0.615)
O (0.746, 0.790, 0.720)
O (0.736, 0.602, 0.020)
O (0.000, 0.011, 0.278)
Pb (0.538, 0.692, 0.531)
Pb (0.462, 0.308, 0.469)
Pb (0.962, 0.692, 0.031)
Pb (0.038, 0.308, 0.969)
Mo (0.130, 0.414, 0.299)
Mo (0.845, 0.993, 0.603)
Mo (0.121, 0.202, 0.621)
Mo (0.870, 0.586, 0.701)
Mo (0.136, 0.790, 0.720)
Mo (0.859, 0.395, 0.485)
Mo (0.864, 0.210, 0.280)
Mo (0.879, 0.798, 0.379)
Mo (0.370, 0.414, 0.799)
Mo (0.621, 0.798, 0.879)
Mo (0.655, 0.993, 0.103)
Mo (0.364, 0.790, 0.220)
Mo (0.636, 0.210, 0.780)
Mo (0.141, 0.605, 0.515)
Mo (0.641, 0.395, 0.985)
Mo (0.379, 0.202, 0.121)
Mo (0.345, 0.007, 0.897)
Mo (0.155, 0.007, 0.397)
Mo (0.630, 0.586, 0.201)
Mo (0.359, 0.605, 0.015)


4.
VASP calculation (PBE with a Hubbard U) on a relaxed structure of MoPb5O8.

Properties
The symmetry is P2_1/c. As for the uncorrected energy: -0.219 hartree per atom. The value obtained for the formation energy is -1.66 eV per atom. The volume is 2317.2 Å³ per cell.

Unit cell a=12.116 b=12.014 c=19.856 alpha=53.29 beta=90.00 gamma=90.00
Fractional coordinates of all 112 atoms:
Pb (0.582, 0.582, 0.813)
Pb (0.578, 0.060, 0.804)
Pb (0.437, 0.176, 0.435)
Pb (0.417, 0.451, 0.683)
Pb (0.253, 0.826, 0.075)
Pb (0.261, 0.092, 0.303)
Pb (0.918, 0.582, 0.313)
Pb (0.078, 0.940, 0.696)
Pb (0.747, 0.174, 0.925)
Pb (0.078, 0.659, 0.439)
Pb (0.937, 0.824, 0.065)
Pb (0.563, 0.824, 0.565)
Pb (0.915, 0.083, 0.810)
Pb (0.244, 0.594, 0.295)
Pb (0.744, 0.406, 0.205)
Pb (0.917, 0.549, 0.817)
Pb (0.063, 0.176, 0.935)
Pb (0.753, 0.174, 0.425)
Pb (0.585, 0.083, 0.310)
Pb (0.761, 0.908, 0.197)
Pb (0.922, 0.341, 0.561)
Pb (0.247, 0.826, 0.575)
Pb (0.085, 0.917, 0.190)
Pb (0.083, 0.451, 0.183)
Pb (0.747, 0.694, 0.921)
Pb (0.418, 0.418, 0.187)
Pb (0.415, 0.917, 0.690)
Pb (0.422, 0.940, 0.196)
Pb (0.422, 0.659, 0.939)
Pb (0.578, 0.341, 0.061)
Pb (0.583, 0.549, 0.317)
Pb (0.247, 0.306, 0.579)
Pb (0.253, 0.306, 0.079)
Pb (0.082, 0.418, 0.687)
Pb (0.756, 0.406, 0.705)
Pb (0.922, 0.060, 0.304)
Pb (0.239, 0.092, 0.803)
Pb (0.739, 0.908, 0.697)
Pb (0.753, 0.694, 0.421)
Pb (0.256, 0.594, 0.795)
O (0.419, 0.181, 0.315)
O (0.409, 0.684, 0.812)
O (0.973, 0.639, 0.910)
O (0.919, 0.819, 0.185)
O (0.905, 0.052, 0.942)
O (0.595, 0.052, 0.442)
O (0.604, 0.635, 0.065)
O (0.674, 0.382, 0.318)
O (0.042, 0.073, 0.544)
O (0.287, 0.576, 0.448)
O (0.527, 0.639, 0.410)
O (0.771, 0.164, 0.313)
O (0.027, 0.361, 0.090)
O (0.081, 0.181, 0.815)
O (0.911, 0.569, 0.436)
O (0.132, 0.857, 0.858)
O (0.998, 0.254, 0.357)
O (0.276, 0.168, 0.921)
O (0.542, 0.927, 0.956)
O (0.411, 0.431, 0.064)
O (0.326, 0.618, 0.682)
O (0.632, 0.143, 0.642)
O (0.271, 0.836, 0.187)
O (0.498, 0.746, 0.143)
O (0.909, 0.316, 0.688)
O (0.417, 0.664, 0.536)
O (0.502, 0.254, 0.857)
O (0.958, 0.927, 0.456)
O (0.583, 0.336, 0.464)
O (0.917, 0.336, 0.964)
O (0.091, 0.684, 0.312)
O (0.002, 0.746, 0.643)
O (0.095, 0.948, 0.058)
O (0.830, 0.896, 0.309)
O (0.267, 0.332, 0.688)
O (0.083, 0.664, 0.036)
O (0.229, 0.836, 0.687)
O (0.581, 0.819, 0.685)
O (0.233, 0.332, 0.188)
O (0.670, 0.896, 0.809)
O (0.589, 0.569, 0.936)
O (0.174, 0.618, 0.182)
O (0.733, 0.668, 0.312)
O (0.089, 0.431, 0.564)
O (0.591, 0.316, 0.188)
O (0.104, 0.365, 0.435)
O (0.787, 0.424, 0.052)
O (0.396, 0.365, 0.935)
O (0.868, 0.143, 0.142)
O (0.896, 0.635, 0.565)
O (0.224, 0.168, 0.421)
O (0.213, 0.576, 0.948)
O (0.729, 0.164, 0.813)
O (0.330, 0.104, 0.191)
O (0.767, 0.668, 0.812)
O (0.368, 0.857, 0.358)
O (0.724, 0.832, 0.079)
O (0.776, 0.832, 0.579)
O (0.826, 0.382, 0.818)
O (0.473, 0.361, 0.590)
O (0.458, 0.073, 0.044)
O (0.405, 0.948, 0.558)
O (0.170, 0.104, 0.691)
O (0.713, 0.424, 0.552)
Mo (0.401, 0.680, 0.440)
Mo (0.599, 0.320, 0.560)
Mo (0.909, 0.788, 0.561)
Mo (0.591, 0.788, 0.061)
Mo (0.901, 0.320, 0.060)
Mo (0.091, 0.212, 0.439)
Mo (0.099, 0.680, 0.940)
Mo (0.409, 0.212, 0.939)